# Cr4Ga6Se15

A geometry-optimized Cr4Ga6Se15 structure (PBE, the Materials Project database).

Summary:
Space-group type ... Cm (8)
Corrected total energy (MP2020 scheme) ... -128.95 eV/cell
ρ ... 5.01 g/cm3
Formation energy ... -0.79 eV per atom

Geometry as POSCAR:
```
Cr4Ga6Se15
1.0
5.652 3.366 0.000
-5.652 3.366 0.000
0.000 2.222 15.762
Cr Ga Se
4 6 15
direct
0.435 0.435 0.690
0.093 0.779 0.688
0.779 0.093 0.688
0.306 0.306 0.088
0.849 0.529 0.451
0.529 0.849 0.451
0.361 0.024 0.928
0.587 0.248 0.247
0.024 0.361 0.928
0.248 0.587 0.247
0.135 0.135 0.606
0.659 0.354 0.980
0.798 0.461 0.607
0.354 0.659 0.980
0.739 0.739 0.772
0.461 0.798 0.607
0.885 0.885 0.394
0.257 0.951 0.194
0.014 0.014 0.996
0.408 0.069 0.771
0.506 0.202 0.405
0.951 0.257 0.194
0.069 0.408 0.771
0.202 0.506 0.405
0.594 0.594 0.181
```